Record 1
Li2Cr3CuO8: relaxed, PBE+U.

relative energy among the computed polymorphs: 3 meV per atom
ΔH_f (0 K): -1.965 eV per atom
MP2020-corrected energy: -7.4261 eV/atom

a = 8.3430 Å, b = 8.3430 Å, c = 8.3250 Å
α = 90.10°, β = 90.10°, γ = 89.96°
Fractional positions:
Li (0.1208, 0.1208, 0.3774)
Li (0.1305, 0.6252, 0.8748)
Li (0.3748, 0.8695, 0.1252)
Li (0.3765, 0.3735, 0.6275)
Li (0.6247, 0.1264, 0.8728)
Li (0.6265, 0.6235, 0.3725)
Li (0.8736, 0.3753, 0.1272)
Li (0.8792, 0.8792, 0.6226)
Cr (0.0015, 0.4993, 0.5021)
Cr (0.0008, 0.9992, 0.0000)
Cr (0.0029, 0.2516, 0.7476)
Cr (0.2475, 0.2486, 0.9996)
Cr (0.2508, 0.4995, 0.2517)
Cr (0.2524, 0.7476, 0.5000)
Cr (0.4986, 0.2489, 0.2528)
Cr (0.5005, 0.7492, 0.7483)
Cr (0.5007, 0.9985, 0.4979)
Cr (0.7484, 0.9971, 0.2524)
Cr (0.7511, 0.5014, 0.7472)
Cr (0.7514, 0.7525, 0.0004)
Cu (0.2501, 0.0009, 0.7518)
Cu (0.5005, 0.4995, 0.0000)
Cu (0.7477, 0.2523, 0.5000)
Cu (0.9991, 0.7499, 0.2482)
O (0.0099, 0.0147, 0.7637)
O (0.0154, 0.7304, 0.4912)
O (0.0192, 0.2435, 0.9890)
O (0.0190, 0.4998, 0.2692)
O (0.2375, 0.0191, 0.9983)
O (0.2394, 0.5089, 0.4884)
O (0.2401, 0.2420, 0.7659)
O (0.2444, 0.7276, 0.2609)
O (0.2564, 0.4799, 0.0145)
O (0.2629, 0.2646, 0.2420)
O (0.2696, 0.9846, 0.5088)
O (0.2724, 0.7556, 0.7391)
O (0.4810, 0.4869, 0.2405)
O (0.4824, 0.2560, 0.0199)
O (0.4911, 0.7606, 0.5116)
O (0.5002, 0.9810, 0.7308)
O (0.5033, 0.2359, 0.4812)
O (0.5039, 0.0109, 0.2683)
O (0.5131, 0.5190, 0.7595)
O (0.5201, 0.7436, 0.9855)
O (0.7269, 0.2383, 0.2554)
O (0.7300, 0.0111, 0.4911)
O (0.7354, 0.7371, 0.7580)
O (0.7440, 0.5176, 0.9801)
O (0.7565, 0.9808, 0.0110)
O (0.7580, 0.7599, 0.2341)
O (0.7617, 0.2731, 0.7446)
O (0.7641, 0.4967, 0.5188)
O (0.9809, 0.7625, 0.0017)
O (0.9853, 0.9901, 0.2363)
O (0.9889, 0.2700, 0.5089)
O (0.9891, 0.4961, 0.7317)

=====

Record 2
Li2Cr3Cu2O12: relaxed, PBE+U.

ΔH_f (0 K): -1.623 eV per atom
MP2020-corrected energy: -6.9044 eV/atom

a = 13.4926 Å, b = 8.9483 Å, c = 8.8268 Å
α = 90.00°, β = 90.00°, γ = 90.00°
Fractional positions:
Li (0.1909, 0.2285, 0.2297)
Li (0.1909, 0.7715, 0.7297)
Li (0.3091, 0.2715, 0.7297)
Li (0.3091, 0.7285, 0.2297)
Li (0.6909, 0.2715, 0.7703)
Li (0.6909, 0.7285, 0.2703)
Li (0.8091, 0.2285, 0.2703)
Li (0.8091, 0.7715, 0.7703)
Cr (0.0000, 0.4633, 0.2500)
Cr (0.0000, 0.5367, 0.7500)
Cr (0.1418, 0.0966, 0.8912)
Cr (0.1418, 0.9034, 0.3912)
Cr (0.3582, 0.4034, 0.3912)
Cr (0.3582, 0.5966, 0.8912)
Cr (0.5000, 0.0367, 0.7500)
Cr (0.5000, 0.9633, 0.2500)
Cr (0.6418, 0.4034, 0.1088)
Cr (0.6418, 0.5966, 0.6088)
Cr (0.8582, 0.0966, 0.6088)
Cr (0.8582, 0.9034, 0.1088)
Cu (0.1117, 0.2513, 0.5339)
Cu (0.1117, 0.7487, 0.0339)
Cu (0.3883, 0.2487, 0.0339)
Cu (0.3883, 0.7513, 0.5339)
Cu (0.6117, 0.2487, 0.4661)
Cu (0.6117, 0.7513, 0.9661)
Cu (0.8883, 0.2513, 0.9661)
Cu (0.8883, 0.7487, 0.4661)
O (0.0263, 0.1363, 0.9273)
O (0.0263, 0.8637, 0.4273)
O (0.0619, 0.4324, 0.6280)
O (0.0619, 0.5676, 0.1280)
O (0.0850, 0.3534, 0.3369)
O (0.0850, 0.6466, 0.8369)
O (0.1584, 0.0922, 0.3954)
O (0.1584, 0.9078, 0.8954)
O (0.1756, 0.1692, 0.7206)
O (0.1756, 0.8308, 0.2206)
O (0.2133, 0.1700, 0.0231)
O (0.2133, 0.8300, 0.5231)
O (0.2867, 0.3300, 0.5231)
O (0.2867, 0.6700, 0.0231)
O (0.3244, 0.3308, 0.2206)
O (0.3244, 0.6692, 0.7206)
O (0.3416, 0.4078, 0.8954)
O (0.3416, 0.5922, 0.3954)
O (0.4150, 0.1466, 0.8369)
O (0.4150, 0.8534, 0.3369)
O (0.4381, 0.0676, 0.1280)
O (0.4381, 0.9324, 0.6280)
O (0.4737, 0.3637, 0.4273)
O (0.4737, 0.6363, 0.9273)
O (0.5263, 0.3637, 0.0727)
O (0.5263, 0.6363, 0.5727)
O (0.5619, 0.0676, 0.3720)
O (0.5619, 0.9324, 0.8720)
O (0.5850, 0.1466, 0.6631)
O (0.5850, 0.8534, 0.1631)
O (0.6584, 0.4078, 0.6046)
O (0.6584, 0.5922, 0.1046)
O (0.6756, 0.3308, 0.2794)
O (0.6756, 0.6692, 0.7794)
O (0.7133, 0.3300, 0.9769)
O (0.7133, 0.6700, 0.4769)
O (0.7867, 0.1700, 0.4769)
O (0.7867, 0.8300, 0.9769)
O (0.8244, 0.1692, 0.7794)
O (0.8244, 0.8308, 0.2794)
O (0.8416, 0.0922, 0.1046)
O (0.8416, 0.9078, 0.6046)
O (0.9150, 0.3534, 0.1631)
O (0.9150, 0.6466, 0.6631)
O (0.9381, 0.4324, 0.8720)
O (0.9381, 0.5676, 0.3720)
O (0.9737, 0.1363, 0.5727)
O (0.9737, 0.8637, 0.0727)